Entry from the Materials Project database: crystalline Cs2SnTe4 at its relaxed geometry (PBE).

Structure (POSCAR):
```
Cs2SnTe4
1.0
12.920 0.000 0.000
0.000 12.132 0.000
0.000 0.000 7.810
Cs Sn Te
8 4 16
direct
0.146 0.055 0.105
0.146 0.445 0.105
0.354 0.555 0.605
0.354 0.945 0.605
0.646 0.055 0.395
0.646 0.445 0.395
0.854 0.555 0.895
0.854 0.945 0.895
0.066 0.750 0.498
0.434 0.250 0.998
0.566 0.750 0.002
0.934 0.250 0.502
0.070 0.071 0.591
0.070 0.429 0.591
0.125 0.750 0.841
0.225 0.750 0.248
0.275 0.250 0.748
0.375 0.250 0.341
0.430 0.571 0.091
0.430 0.929 0.091
0.570 0.071 0.909
0.570 0.429 0.909
0.625 0.750 0.659
0.725 0.750 0.252
0.775 0.250 0.752
0.875 0.250 0.159
0.930 0.571 0.409
0.930 0.929 0.409
```

=====

Entry from the Materials Project database: crystalline Pr2InPd2 at its relaxed geometry (PBE).

Structure (POSCAR):
```
Pr2InPd2
1.0
7.898 0.000 0.000
0.000 7.898 0.000
0.000 0.000 3.940
Pr In Pd
4 2 4
direct
0.176 0.324 0.000
0.324 0.824 0.000
0.676 0.176 0.000
0.824 0.676 0.000
0.000 0.000 0.500
0.500 0.500 0.500
0.127 0.627 0.500
0.373 0.127 0.500
0.627 0.873 0.500
0.873 0.373 0.500
```

=====

Entry from the Materials Project database: crystalline Dy2Ge5Rh3 at its relaxed geometry (PBE).

Structure (POSCAR):
```
Dy2Ge5Rh3
1.0
5.707 -6.133 0.000
5.707 6.133 0.000
-2.807 0.000 5.199
Dy Ge Rh
4 10 6
direct
0.092 0.370 0.237
0.370 0.092 0.737
0.630 0.908 0.263
0.908 0.630 0.763
0.013 0.987 0.750
0.235 0.425 0.831
0.278 0.722 0.750
0.293 0.707 0.250
0.425 0.235 0.331
0.575 0.765 0.669
0.707 0.293 0.750
0.722 0.278 0.250
0.765 0.575 0.169
0.987 0.013 0.250
0.046 0.761 0.375
0.239 0.954 0.125
0.499 0.501 0.250
0.501 0.499 0.750
0.761 0.046 0.875
0.954 0.239 0.625
```

=====

Entry from the Materials Project database: crystalline Sr4MgIn2Sb2O12 at its relaxed geometry (PBE).

Structure (POSCAR):
```
Sr4MgIn2Sb2O12
1.0
5.928 0.000 0.000
0.312 6.205 0.000
0.276 0.151 8.581
Sr Mg In Sb O
4 1 2 2 12
direct
0.000 0.000 0.000
0.039 0.163 0.542
0.521 0.653 0.545
0.641 0.548 0.059
0.204 0.358 0.126
0.053 0.657 0.332
0.514 0.102 0.782
0.041 0.592 0.776
0.560 0.094 0.308
0.141 0.616 0.997
0.219 0.864 0.725
0.267 0.933 0.354
0.302 0.390 0.703
0.365 0.474 0.302
0.404 0.150 0.014
0.635 0.063 0.543
0.758 0.794 0.834
0.771 0.832 0.240
0.854 0.327 0.836
0.915 0.340 0.238
0.930 0.574 0.558
```

=====

Entry from the Materials Project database: crystalline Cs2Se at its relaxed geometry (PBE).

Structure (POSCAR):
```
Cs2Se
1.0
5.435 0.000 0.000
0.000 12.065 0.000
0.000 0.000 8.473
Cs Se
8 4
direct
0.000 0.000 0.000
0.000 0.000 0.500
0.000 0.307 0.250
0.000 0.693 0.750
0.500 0.193 0.750
0.500 0.500 0.000
0.500 0.500 0.500
0.500 0.807 0.250
0.000 0.378 0.750
0.000 0.622 0.250
0.500 0.122 0.250
0.500 0.878 0.750
```

=====

Entry from the Materials Project database: crystalline Na3SiSnCO7 at its relaxed geometry (PBE).

Structure (POSCAR):
```
Na3SiSnCO7
1.0
5.223 0.000 0.000
0.000 6.920 0.000
-0.120 0.000 9.339
Na Si Sn C O
6 2 2 2 14
direct
0.238 0.250 0.414
0.251 0.507 0.756
0.251 0.993 0.756
0.749 0.007 0.244
0.749 0.493 0.244
0.762 0.750 0.586
0.294 0.250 0.090
0.706 0.750 0.910
0.222 0.750 0.134
0.778 0.250 0.866
0.267 0.750 0.445
0.733 0.250 0.555
0.043 0.750 0.380
0.178 0.250 0.924
0.202 0.062 0.186
0.202 0.438 0.186
0.282 0.750 0.583
0.388 0.750 0.919
0.476 0.750 0.370
0.524 0.250 0.630
0.612 0.250 0.081
0.718 0.250 0.417
0.798 0.562 0.814
0.798 0.938 0.814
0.822 0.750 0.076
0.957 0.250 0.620
```

=====

E_form / eV/f.u.: -6.1 -4.0 -7.8 -51.2 -3.4 -29.5
Uncorrected energy / eV per cell: -91.1 -53.3 -124.5 -124.4 -32.8 -163.9